Computed, not measured: ScNi3 after structural relaxation at the GGA-PBE level of DFT.

Properties
**Calculated formation energy**: -398 meV/atom

Cell: 3.720 3.720 3.720 Å, 90.00 90.00 90.00°
Space group Pm-3m (No. 221)
Unique sites:
Sc: 0.000 0.000 0.000
Ni: 0.000 0.500 0.500



Computed, not measured: Sc3Si4Ni2 after structural relaxation at the GGA-PBE level of DFT.

Properties
**Calculated formation energy**: -842 meV/atom

Cell: 11.673 3.988 11.952 Å, 90.00 90.00 90.00°
Space group Pnma (No. 62)
Unique sites:
Sc: 0.020 0.250 0.186
Sc: 0.196 0.750 0.580
Sc: 0.247 0.250 0.349
Si: 0.058 0.250 0.468
Si: 0.108 0.250 0.936
Si: 0.122 0.250 0.733
Si: 0.174 0.750 0.202
Ni: 0.051 0.750 0.366
Ni: 0.091 0.750 0.027



Computed, not measured: Sc3Si4Ni4 after structural relaxation at the GGA-PBE level of DFT.

Properties
**Calculated formation energy**: -848 meV/atom

Cell: 3.858 6.480 12.691 Å, 90.00 90.00 90.00°
Space group Immm (No. 71)
Unique sites:
Sc: 0.000 0.000 0.000
Sc: 0.000 0.500 0.127
Si: 0.000 0.000 0.220
Si: 0.000 0.188 0.500
Ni: 0.000 0.304 0.325



Computed, not measured: ScSi3Ni after structural relaxation at the GGA-PBE level of DFT.

Properties
**Calculated formation energy**: -621 meV/atom

Cell: 3.863 20.753 3.820 Å, 90.00 90.00 90.00°
Space group Cmmm (No. 65)
Unique sites:
Sc: 0.000 0.170 0.000
Si: 0.000 0.057 0.500
Si: 0.000 0.282 0.500
Si: 0.000 0.443 0.000
Ni: 0.000 0.388 0.500